First-principles (PBE) data for Tb3Au after structural relaxation, as listed in the Materials Project database.

Cell lengths 4.7426, 4.7426, 4.7426 Å; angles 90.00, 90.00, 90.00 degrees
Fractional positions:
1 Tb 0.5000 0.0000 0.5000
2 Au 0.0000 0.0000 0.0000
3 Tb 0.5000 0.5000 0.0000
4 Tb 0.0000 0.5000 0.5000

Output
For the energy of formation from the pure elements, the calculation gives -0.246 eV per atom. The calculated density comes out at 10.49 g/cm³.